LiFe2B2O6: optimized geometry, PBE+U.

ΔH_f (0 K) in eV/atom: -2.26
Total energy in eV per atom: -7.103
Calculated density in g/cm³: 3.2
V in Å³ per atom: 11.06

Unit cell a=5.2499 b=9.0873 c=10.2040 alpha=89.21 beta=89.95 gamma=89.52
With the nearest neighbours (Å) after each atom.
Sites, in units of the cell vectors:
Li1 0.0000 0.0000 0.0000  4 O 1.97-2.12
Li2 0.0160 0.9978 0.4910  4 O 2.03-2.16
Li3 0.3398 0.3475 0.2389  3 O 1.90-2.11
Li4 0.8596 0.8364 0.7402  4 O 1.92-2.13
Fe1 0.0094 0.3436 0.9597  4 O 1.89-2.04
Fe2 0.3488 0.6641 0.7115  4 O 1.84-2.01
Fe3 0.3614 0.0028 0.2141  5 O 1.93-2.12
Fe4 0.5080 0.1776 0.4723  3 O 1.92-2.12
Fe5 0.5172 0.8167 0.9670  4 O 1.99-2.13
Fe6 0.8297 0.5184 0.2120  4 O 1.95-2.15
Fe7 0.8624 0.1768 0.7150  4 O 2.05-2.19
Fe8 0.9984 0.6613 0.4572  5 O 1.93-2.15
B1 0.0121 0.3326 0.4539  3 O 1.35-1.41
B2 0.0228 0.6697 0.9537  3 O 1.38-1.39
B3 0.3337 0.6705 0.2184  3 O 1.35-1.40
B4 0.3554 0.9942 0.7074  3 O 1.36-1.42
B5 0.4999 0.8372 0.4636  3 O 1.38-1.40
B6 0.5069 0.1665 0.9671  3 O 1.36-1.42
B7 0.8448 0.5074 0.7135  3 O 1.35-1.42
B8 0.8554 0.1744 0.2032  3 O 1.38-1.40
O1 0.0020 0.0473 0.2026  1 B 1.38
O2 0.0867 0.6776 0.2698  1 B 1.40
O3 0.0909 0.9936 0.6992  1 B 1.39
O4 0.2630 0.3275 0.4246  1 B 1.35
O5 0.2683 0.6620 0.9038  1 B 1.39
O6 0.3453 0.7239 0.5116  1 B 1.40
O7 0.3581 0.2891 0.9616  1 B 1.36
O8 0.3747 0.9630 0.4136  1 B 1.40
O9 0.3993 0.0318 0.0088  1 B 1.41
O10 0.4427 0.8012 0.1724  1 B 1.40
O11 0.4601 0.5414 0.2087  1 B 1.35
O12 0.4866 0.8635 0.7460  1 B 1.42
O13 0.4947 0.1142 0.6725  1 B 1.36
O14 0.5884 0.5147 0.7085  1 B 1.35
O15 0.5982 0.1691 0.2388  1 B 1.40
O16 0.7612 0.8289 0.4701  1 B 1.38
O17 0.7707 0.1693 0.9368  1 B 1.42
O18 0.8746 0.4642 0.4304  1 B 1.41
O19 0.8864 0.2081 0.5022  1 B 1.40
O20 0.8928 0.8023 0.9457  1 B 1.38
O21 0.9150 0.5447 0.0069  1 B 1.38
O22 0.9645 0.3080 0.1659  1 B 1.39
O23 0.9711 0.3858 0.7653  1 B 1.38
O24 0.9870 0.6298 0.6662  1 B 1.42